Record 1
VASP calculation (PBE with a Hubbard U) on a relaxed Li5V6O5F19 crystal.

```
Li5V6O5F19
1.0
-1.4797 -3.9404 3.0823
3.7691 -3.2015 -2.1884
12.2058 3.1819 10.0651
Li V O F
5 6 5 19
direct
0.9651 0.0438 0.7729
0.1726 0.6961 0.1521
0.5425 0.5056 0.7867
0.0225 0.6290 0.9005
0.2626 0.9922 0.4835
0.4766 0.1329 0.6662
0.0246 0.3028 0.3342
0.9692 0.0442 0.9961
0.4714 0.5178 0.0066
0.0230 0.6349 0.6649
0.5071 0.8301 0.3305
0.2173 0.0370 0.3524
0.1972 0.3627 0.6946
0.2108 0.7020 0.0186
0.8021 0.3160 0.9687
0.2989 0.8661 0.6946
0.2920 0.1950 0.0265
0.7124 0.1278 0.3077
0.0818 0.0089 0.8815
0.4173 0.2030 0.5522
0.5958 0.4639 0.1132
0.9261 0.2816 0.4455
0.0855 0.3988 0.2185
0.6169 0.1600 0.7762
0.3029 0.5312 0.3563
0.6924 0.4784 0.6474
0.8027 0.6266 0.3148
0.3745 0.5302 0.8847
0.9162 0.9416 0.1103
0.4129 0.8551 0.2216
0.8887 0.6507 0.7807
0.0888 0.7266 0.5524
0.5675 0.8052 0.4421
0.7135 0.7988 0.9690
0.8130 0.9731 0.6504
```

Properties
MP2020-corrected energy, eV per atom: -6.510
Theoretical density, g/cm3: 2.89
Volume, Å³ per cell: 449.52

---

Record 2
VASP calculation (PBE with a Hubbard U) on a relaxed Li3VOF5 crystal.

```
Li3VOF5
1.0
-5.0678 5.2551 0.0646
-5.0666 -5.2538 0.0594
5.1138 0.0033 7.6850
Li V O F
12 4 4 20
direct
0.7630 0.7584 0.5133
0.2629 0.2583 0.5132
0.5081 0.0137 0.0140
0.0081 0.5136 0.0139
0.1464 0.6067 0.7605
0.6464 0.1069 0.7606
0.8561 0.8967 0.2605
0.3561 0.3965 0.2604
0.6642 0.6251 0.7797
0.1642 0.1253 0.7798
0.3752 0.9152 0.2795
0.8752 0.4151 0.2794
0.0126 0.0134 0.0028
0.7641 0.2634 0.5020
0.5124 0.5134 0.0028
0.2641 0.7632 0.5019
0.8539 0.5022 0.5457
0.3543 0.0021 0.5457
0.2513 0.1032 0.0466
0.7511 0.6031 0.0465
0.5792 0.5001 0.2252
0.0793 0.0004 0.2253
0.7526 0.3294 0.7253
0.2526 0.8294 0.7252
0.0011 0.7208 0.9068
0.5009 0.2207 0.9067
0.4721 0.2512 0.4060
0.9722 0.7514 0.4058
0.2136 0.4174 0.9310
0.7140 0.9175 0.9317
0.6682 0.9638 0.4290
0.1682 0.4637 0.4290
0.0311 0.1934 0.5742
0.5312 0.6934 0.5742
0.4423 0.7810 0.0743
0.9422 0.2808 0.0742
0.7436 0.1524 0.2613
0.2436 0.6523 0.2613
0.9010 0.9929 0.7624
0.4013 0.4928 0.7624
```

Properties
MP2020-corrected energy, eV per atom: -5.965
Theoretical density, g/cm3: 2.94
Volume, Å³ per cell: 412.57

---

Record 3
VASP calculation (PBE with a Hubbard U) on a relaxed LiV4OF11 crystal.

```
LiV4OF11
1.0
5.4883 0.0000 0.0000
0.5758 9.2582 0.0000
0.4173 3.3394 8.6546
Li V O F
2 8 2 22
direct
0.4498 0.8664 0.8727
0.0362 0.8846 0.3912
0.4946 0.4984 0.0009
0.5020 0.2500 0.7535
0.9855 0.7554 0.7390
0.5231 0.9951 0.5019
0.9938 0.4994 0.5013
0.0018 0.2521 0.2525
0.4906 0.7557 0.2379
0.0188 0.9939 0.0045
0.8105 0.8756 0.5659
0.3058 0.8746 0.0679
0.0175 0.9245 0.8199
0.2003 0.6313 0.9234
0.6751 0.6918 0.8773
0.9962 0.5680 0.6788
0.2017 0.1815 0.8746
0.3054 0.8254 0.6189
0.5025 0.4314 0.8243
0.7030 0.1232 0.9264
0.2990 0.3748 0.5756
0.4985 0.0582 0.6948
0.1840 0.6897 0.3787
0.4904 0.9275 0.3198
0.7952 0.3190 0.6248
0.6975 0.6263 0.4237
0.1985 0.1189 0.4272
0.4971 0.5674 0.1765
0.6996 0.1828 0.3744
0.8040 0.8223 0.1228
0.2976 0.3181 0.1262
0.0057 0.4312 0.3237
0.8016 0.3752 0.0738
0.9969 0.0605 0.1958
```

Properties
MP2020-corrected energy, eV per atom: -6.899
Theoretical density, g/cm3: 3.29
Volume, Å³ per cell: 439.75

---

Record 4
VASP calculation (PBE with a Hubbard U) on a relaxed LiV4OF11 crystal.

```
LiV4OF11
1.0
-2.3654 -1.7630 -4.3662
0.2669 5.4667 0.7680
16.2553 0.3396 -5.9572
Li V O F
2 8 2 22
direct
0.6183 0.2964 0.9452
0.1950 0.6793 0.6957
0.9904 0.0109 0.0071
0.7582 0.3654 0.1230
0.9902 0.4991 0.4973
0.5176 0.2459 0.7474
0.5047 0.7469 0.2493
0.2463 0.1239 0.3738
0.7455 0.8877 0.6274
0.2539 0.6259 0.8773
0.8228 0.2197 0.0334
0.6512 0.0242 0.7098
0.7338 0.0598 0.1896
0.7650 0.1824 0.5590
0.7526 0.6667 0.0573
0.6839 0.5360 0.2129
0.6735 0.3379 0.4097
0.8070 0.4032 0.8483
0.8275 0.9101 0.3388
0.8187 0.7106 0.5388
0.3219 0.1515 0.0886
0.7775 0.5804 0.6899
0.2787 0.4415 0.3129
0.6789 0.8414 0.9099
0.1819 0.0964 0.6617
0.1759 0.2916 0.4632
0.1833 0.5923 0.1620
0.3164 0.4746 0.7811
0.3020 0.6444 0.5942
0.3240 0.9589 0.2872
0.2569 0.3156 0.9338
0.2243 0.8161 0.4405
0.2610 0.9197 0.8100
0.1836 0.7967 0.9621
```

Properties
MP2020-corrected energy, eV per atom: -6.891
Theoretical density, g/cm3: 3.29
Volume, Å³ per cell: 440.43

---

Record 5
VASP calculation (PBE with a Hubbard U) on a relaxed LiV3O5F crystal.

```
LiV3O5F
1.0
2.5338 -4.4196 0.0491
7.7650 4.5132 -0.1777
-2.6205 1.3715 4.6604
Li V O F
2 6 10 2
direct
0.3372 0.4329 0.6048
0.8130 0.9277 0.5979
0.2030 0.0929 0.4324
0.7047 0.5859 0.4353
0.0082 0.6839 0.0562
0.5116 0.1803 0.0516
0.9850 0.3205 0.9583
0.4745 0.8242 0.9776
0.4396 0.0310 0.2300
0.9474 0.5363 0.2035
0.5422 0.2542 0.7475
0.0420 0.7553 0.7626
0.0799 0.1292 0.7395
0.5873 0.6387 0.7631
0.4275 0.3795 0.2380
0.9430 0.8813 0.2463
0.9723 0.2066 0.2390
0.4493 0.7144 0.2431
0.0117 0.4597 0.7229
0.5207 0.9653 0.7502
```

Properties
MP2020-corrected energy, eV per atom: -8.153
Theoretical density, g/cm3: 4.04
Volume, Å³ per cell: 212.90

---

Record 6
VASP calculation (PBE with a Hubbard U) on a relaxed LiV4OF11 crystal.

```
LiV4OF11
1.0
5.2143 0.0000 0.0000
-0.0764 5.5010 0.0000
-0.0456 -0.5883 7.6097
Li V O F
1 4 1 11
direct
0.0055 0.5779 0.1897
0.0024 0.0020 0.5038
0.5042 0.4987 0.4998
0.4837 0.4852 0.9967
0.0083 0.0220 0.0008
0.1959 0.3076 0.0548
0.8930 0.9932 0.2579
0.8143 0.3119 0.5545
0.8044 0.6943 0.9702
0.6950 0.1871 0.9370
0.6920 0.8080 0.5508
0.6324 0.4977 0.2529
0.3950 0.5071 0.7432
0.3093 0.1938 0.4454
0.2787 0.7900 0.0679
0.1871 0.6831 0.4287
0.1137 0.9871 0.7432
```

Properties
MP2020-corrected energy, eV per atom: -6.898
Theoretical density, g/cm3: 3.31
Volume, Å³ per cell: 218.28

---

Record 7
VASP calculation (PBE with a Hubbard U) on a relaxed Li2VO2F crystal.

```
Li2VO2F
1.0
-1.2229 -3.4180 -4.8069
4.0482 -3.9956 -1.9826
-1.5016 -8.8021 1.0023
Li V O F
8 4 8 4
direct
0.2463 0.7656 0.1355
0.7734 0.7734 0.1456
0.7656 0.2463 0.1355
0.2672 0.2672 0.1439
0.7433 0.7433 0.8475
0.2247 0.7619 0.8554
0.2244 0.2244 0.8598
0.7619 0.2247 0.8554
0.7404 0.2535 0.5084
0.2498 0.2498 0.4993
0.2535 0.7404 0.5084
0.7428 0.7428 0.5057
0.4898 0.4898 0.3550
0.9993 0.9993 0.0006
0.9861 0.4897 0.3534
0.5164 0.0048 0.6468
0.0081 0.0081 0.6457
0.0048 0.5164 0.6468
0.4897 0.9861 0.3534
0.5043 0.5043 0.6580
0.4984 0.9971 0.0023
0.9971 0.4984 0.0023
0.0005 0.0005 0.3363
0.5007 0.5007 0.9996
```

Properties
MP2020-corrected energy, eV per atom: -6.738
Theoretical density, g/cm3: 3.34
Volume, Å³ per cell: 230.05

---

Record 8
VASP calculation (PBE with a Hubbard U) on a relaxed Li3V2O4F2 crystal.

```
Li3V2O4F2
1.0
-5.8235 -1.0296 0.9980
1.2341 -4.0004 3.0742
0.3961 9.0828 11.6820
Li V O F
12 8 16 8
direct
0.9774 0.5000 0.0000
0.0016 0.1556 0.8713
0.0016 0.8444 0.1287
0.7584 0.0000 0.5000
0.7487 0.0000 0.0000
0.5219 0.5000 0.0000
0.4984 0.5000 0.5000
0.4962 0.1566 0.8699
0.4962 0.8434 0.1301
0.2430 0.0000 0.5000
0.2503 0.6927 0.8719
0.2503 0.3073 0.1281
0.0014 0.1683 0.3333
0.0014 0.8317 0.6667
0.7487 0.6683 0.3367
0.7487 0.3317 0.6633
0.5013 0.1673 0.3277
0.5013 0.8327 0.6723
0.2486 0.6600 0.3351
0.2486 0.3400 0.6649
0.0155 0.5158 0.2706
0.0155 0.4842 0.7294
0.0039 0.1546 0.5918
0.0039 0.8454 0.4082
0.7469 0.9981 0.2675
0.7469 0.0019 0.7325
0.7314 0.6815 0.5944
0.7314 0.3185 0.4056
0.4919 0.5012 0.2678
0.4919 0.4988 0.7322
0.4878 0.1714 0.5906
0.4878 0.8286 0.4094
0.2630 0.9981 0.2658
0.2630 0.0019 0.7342
0.2655 0.6707 0.5945
0.2655 0.3293 0.4055
0.9953 0.1715 0.0817
0.9953 0.8285 0.9183
0.7494 0.6903 0.0766
0.7494 0.3097 0.9234
0.5042 0.1709 0.0819
0.5042 0.8291 0.9181
0.2483 0.6465 0.0907
0.2483 0.3535 0.9093
```

Properties
MP2020-corrected energy, eV per atom: -6.978
Theoretical density, g/cm3: 3.24
Volume, Å³ per cell: 461.12

---

Record 9
VASP calculation (PBE with a Hubbard U) on a relaxed Li2VO2F crystal.

```
Li2VO2F
1.0
-1.0640 1.0181 5.8183
0.1362 -6.4439 -0.3877
6.2694 -1.8332 -1.6048
Li V O F
8 4 8 4
direct
0.7544 0.9853 0.5188
0.2544 0.9853 0.5188
0.6735 0.3298 0.6791
0.1735 0.3298 0.6792
0.3405 0.6847 0.3379
0.8405 0.6846 0.3379
0.5777 0.6707 0.8213
0.0777 0.6707 0.8213
0.4992 0.9840 0.9954
0.4050 0.3448 0.1487
0.9992 0.9840 0.9955
0.9050 0.3448 0.1487
0.3830 0.0166 0.2340
0.8830 0.0166 0.2340
0.6238 0.9992 0.7616
0.1238 0.9992 0.7616
0.5502 0.3288 0.9276
0.0501 0.3289 0.9275
0.4599 0.6618 0.0905
0.9599 0.6618 0.0905
0.2791 0.3372 0.4055
0.7791 0.3372 0.4054
0.7037 0.6572 0.5795
0.2037 0.6571 0.5795
```

Properties
MP2020-corrected energy, eV per atom: -6.766
Theoretical density, g/cm3: 3.48
Volume, Å³ per cell: 221.10

---

Record 10
VASP calculation (PBE with a Hubbard U) on a relaxed LiV2OF5 crystal.

```
LiV2OF5
1.0
4.0671 -1.7515 -1.1675
1.9972 -0.7393 8.4480
-4.0008 -6.6060 -4.1209
Li V O F
3 6 3 15
direct
0.4992 0.3335 0.6663
0.9954 0.0011 0.9999
0.4923 0.6676 0.3361
0.0156 0.3510 0.9932
0.4849 0.6671 0.9968
0.0156 0.6626 0.6497
0.4851 0.9870 0.6736
0.5182 0.3124 0.3241
0.9825 0.0128 0.3490
0.2557 0.4632 0.9073
0.7364 0.2055 0.4228
0.2641 0.7803 0.5724
0.2422 0.1175 0.8918
0.7347 0.2217 0.7869
0.2499 0.1055 0.5592
0.7372 0.5637 0.7736
0.2286 0.7729 0.8837
0.7652 0.8874 0.7803
0.2617 0.4343 0.5407
0.2352 0.1054 0.2163
0.7497 0.5464 0.4396
0.7399 0.8929 0.4588
0.7706 0.2310 0.1061
0.2664 0.4336 0.2154
0.7440 0.5676 0.1136
0.2612 0.7932 0.2289
0.7686 0.8828 0.1139
```

Properties
MP2020-corrected energy, eV per atom: -6.893
Theoretical density, g/cm3: 3.61
Volume, Å³ per cell: 303.01

---

Record 11
VASP calculation (PBE with a Hubbard U) on a relaxed Li3V4O3F9 crystal.

```
Li3V4O3F9
1.0
5.9562 0.0000 0.0000
-1.0016 5.8890 0.0000
-1.0242 -1.1502 5.8887
Li V O F
3 4 3 9
direct
0.0158 0.9919 0.0074
0.8639 0.6706 0.3912
0.2905 0.5928 0.1142
0.6709 0.4048 0.8423
0.1402 0.3266 0.6110
0.6071 0.1491 0.3362
0.3965 0.8538 0.6750
0.4130 0.1708 0.5722
0.4124 0.5760 0.7987
0.8192 0.4067 0.5814
0.6646 0.0744 0.9146
0.0866 0.3117 0.9268
0.9434 0.1128 0.3133
0.1863 0.5833 0.4118
0.0830 0.9076 0.6925
0.5590 0.4098 0.1728
0.6242 0.8444 0.4664
0.8865 0.6763 0.0484
0.3371 0.9366 0.1237
```

Properties
MP2020-corrected energy, eV per atom: -6.878
Theoretical density, g/cm3: 3.57
Volume, Å³ per cell: 206.56

---

| no. | electronic total energy (eV per atom) |
| --- | --- |
| 1 | -5.869 |
| 2 | -5.496 |
| 3 | -6.160 |
| 4 | -6.152 |
| 5 | -7.253 |
| 6 | -6.159 |
| 7 | -6.149 |
| 8 | -6.336 |
| 9 | -6.177 |
| 10 | -6.183 |
| 11 | -6.193 |